# 1
# Na2Ta6Al2Si7S5O48 PBE relaxed
data_Na2Ta6Al2Si7S5O48
_chemical_formula_sum 'Na6 Ta18 Al6 Si21 S15 O144'
_symmetry_space_group_name_H-M 'P 1'
_symmetry_Int_Tables_number 1
_cell_length_a 8.7820
_cell_length_b 15.1898
_cell_length_c 22.6532
_cell_angle_alpha 89.99
_cell_angle_beta 89.95
_cell_angle_gamma 89.98
loop_
_symmetry_equiv_pos_as_xyz
'x,y,z'
loop_
_atom_site_label
_atom_site_fract_x
_atom_site_fract_y
_atom_site_fract_z
Na1 0.0000 0.0000 0.0000
Na2 0.0009 0.3265 0.8425
Na3 0.5014 0.4992 0.5040
Na4 0.5067 0.8275 0.3484
Na5 0.5117 0.8348 0.8393
Na6 0.9944 0.3336 0.3453
Ta1 0.9997 0.9970 0.6483
Ta2 0.0026 0.6676 0.5319
Ta3 0.0036 0.6729 0.0286
Ta4 0.0038 0.6756 0.8135
Ta5 0.0117 0.9991 0.3678
Ta6 0.0131 0.3281 0.1990
Ta7 0.0161 0.3345 0.4825
Ta8 0.0182 0.3312 0.6967
Ta9 0.4952 0.8268 0.1998
Ta10 0.4957 0.8277 0.6973
Ta11 0.4994 0.4990 0.8652
Ta12 0.4995 0.8298 0.9802
Ta13 0.5038 0.1763 0.3153
Ta14 0.5074 0.1727 0.0285
Ta15 0.5068 0.1753 0.5294
Ta16 0.5066 0.4960 0.1487
Ta17 0.5232 0.1691 0.8172
Ta18 0.9858 0.6706 0.3195
Al1 0.0060 0.3306 0.9876
Al2 0.0149 0.9975 0.1620
Al3 0.4709 0.4945 0.6561
Al4 0.5035 0.8286 0.4885
Al5 0.5331 0.4979 0.3645
Al6 0.9739 0.9977 0.8629
Si1 0.1376 0.8193 0.9204
Si2 0.1398 0.8583 0.2559
Si3 0.1473 0.1351 0.2561
Si4 0.1472 0.1884 0.5892
Si5 0.1563 0.4776 0.5916
Si6 0.2265 0.8348 0.5848
Si7 0.2806 0.3334 0.0855
Si8 0.3600 0.6885 0.0903
Si9 0.3626 0.6363 0.7559
Si10 0.3652 0.3579 0.7562
Si11 0.3684 0.3200 0.4209
Si12 0.6390 0.6342 0.2608
Si13 0.6491 0.3629 0.2587
Si14 0.6525 0.0261 0.9244
Si15 0.6670 0.3119 0.9255
Si16 0.7206 0.6629 0.9238
Si17 0.7894 0.1661 0.4243
Si18 0.8424 0.8106 0.4282
Si19 0.8548 0.5252 0.4244
Si20 0.8574 0.8636 0.7584
Si21 0.8742 0.1383 0.7604
S1 0.1414 0.5201 0.9250
S2 0.2129 0.1678 0.9247
S3 0.2212 0.5010 0.2587
S4 0.2869 0.0007 0.7588
S5 0.2947 0.6671 0.4245
S6 0.3538 0.9773 0.0914
S7 0.3682 0.0206 0.4252
S8 0.6430 0.6874 0.5902
S9 0.6430 0.9744 0.5884
S10 0.7162 0.3386 0.5918
S11 0.7229 0.0001 0.2554
S12 0.7852 0.4997 0.7559
S13 0.7939 0.8392 0.0916
S14 0.8653 0.1860 0.0905
S15 0.8646 0.4742 0.0885
O1 0.0660 0.0962 0.3151
O2 0.0663 0.8993 0.1975
O3 0.0674 0.2350 0.5332
O4 0.0688 0.7659 0.9798
O5 0.0719 0.4311 0.6489
O6 0.0729 0.9164 0.9138
O7 0.0738 0.0933 0.6013
O8 0.0749 0.5597 0.8720
O9 0.0757 0.4319 0.9333
O10 0.0758 0.5726 0.5802
O11 0.0766 0.2379 0.2499
O12 0.0842 0.7585 0.2694
O13 0.1102 0.0841 0.1963
O14 0.1147 0.4214 0.2486
O15 0.1164 0.2476 0.9334
O16 0.1165 0.4139 0.5347
O17 0.1156 0.5768 0.9786
O18 0.1163 0.9198 0.3141
O19 0.1170 0.7504 0.8658
O20 0.1184 0.7492 0.5783
O21 0.1187 0.9189 0.6001
O22 0.1203 0.2506 0.6480
O23 0.1210 0.0881 0.9209
O24 0.1228 0.5790 0.2643
O25 0.1694 0.3461 0.0308
O26 0.1762 0.3202 0.1455
O27 0.1765 0.3503 0.7523
O28 0.1775 0.6774 0.0799
O29 0.1801 0.6466 0.7683
O30 0.1826 0.3202 0.4289
O31 0.1861 0.9849 0.0977
O32 0.1974 0.0123 0.7042
O33 0.1974 0.0136 0.4196
O34 0.1966 0.6549 0.4780
O35 0.1982 0.9807 0.8114
O36 0.1986 0.6837 0.3712
O37 0.3080 0.1836 0.8720
O38 0.3090 0.4807 0.3106
O39 0.3115 0.5118 0.2034
O40 0.3106 0.5136 0.9196
O41 0.3144 0.1556 0.9786
O42 0.3243 0.8224 0.9322
O43 0.3291 0.1457 0.2680
O44 0.3303 0.1762 0.5789
O45 0.3312 0.8213 0.6452
O46 0.3313 0.8523 0.2496
O47 0.3392 0.4857 0.5961
O48 0.3399 0.8480 0.5306
O49 0.3842 0.9213 0.0386
O50 0.3852 0.0788 0.7657
O51 0.3872 0.5882 0.4186
O52 0.3883 0.2459 0.0790
O53 0.3913 0.4168 0.0997
O54 0.3915 0.7477 0.4321
O55 0.3910 0.7530 0.1477
O56 0.3922 0.0764 0.4782
O57 0.3916 0.4189 0.8151
O58 0.3930 0.2514 0.3655
O59 0.3935 0.9216 0.7494
O60 0.4003 0.5837 0.6974
O61 0.4235 0.0650 0.0831
O62 0.4262 0.2586 0.7706
O63 0.4266 0.9371 0.1443
O64 0.4317 0.0600 0.3713
O65 0.4315 0.7392 0.7505
O66 0.4322 0.9318 0.4322
O67 0.4346 0.4163 0.4135
O68 0.4348 0.5939 0.1008
O69 0.4384 0.7399 0.0352
O70 0.4391 0.2665 0.4796
O71 0.4400 0.5980 0.8163
O72 0.4434 0.3990 0.6992
O73 0.5570 0.5955 0.3175
O74 0.5644 0.0674 0.8676
O75 0.5732 0.4019 0.1984
O76 0.5742 0.0629 0.5817
O77 0.5747 0.9286 0.9364
O78 0.5762 0.7303 0.5378
O79 0.5765 0.7390 0.2489
O80 0.5789 0.2622 0.2644
O81 0.5792 0.2658 0.9825
O82 0.5794 0.9346 0.6428
O83 0.5801 0.5997 0.5981
O84 0.5831 0.4050 0.9128
O85 0.6077 0.5807 0.1998
O86 0.6091 0.0846 0.9831
O87 0.6101 0.5801 0.9155
O88 0.6173 0.2563 0.5844
O89 0.6173 0.7444 0.6443
O90 0.6168 0.7528 0.9320
O91 0.6183 0.4158 0.5987
O92 0.6199 0.9194 0.5361
O93 0.6214 0.0759 0.2637
O94 0.6215 0.4185 0.3166
O95 0.6231 0.9202 0.2467
O96 0.6288 0.2480 0.8686
O97 0.6609 0.8221 0.4372
O98 0.6735 0.5191 0.4201
O99 0.6743 0.8492 0.7465
O100 0.6786 0.1757 0.3669
O101 0.6832 0.1499 0.4828
O102 0.6859 0.1491 0.7666
O103 0.6919 0.4851 0.8105
O104 0.6948 0.1794 0.0842
O105 0.6954 0.5147 0.7031
O106 0.6965 0.4851 0.0958
O107 0.6978 0.8240 0.1443
O108 0.6997 0.8509 0.0380
O109 0.8079 0.3486 0.5378
O110 0.8090 0.3196 0.6447
O111 0.8112 0.9850 0.5958
O112 0.8123 0.6836 0.5852
O113 0.8128 0.9817 0.3089
O114 0.8159 0.0139 0.2019
O115 0.8237 0.6503 0.2665
O116 0.8236 0.6510 0.9834
O117 0.8291 0.6771 0.8670
O118 0.8323 0.3488 0.2456
O119 0.8334 0.0183 0.9204
O120 0.8468 0.3214 0.9376
O121 0.8783 0.7493 0.3684
O122 0.8825 0.4191 0.7514
O123 0.8850 0.9168 0.8176
O124 0.8884 0.2421 0.1444
O125 0.8882 0.4193 0.0360
O126 0.8878 0.5761 0.7666
O127 0.8892 0.7571 0.0844
O128 0.8911 0.2540 0.4320
O129 0.8933 0.9167 0.0982
O130 0.8953 0.0802 0.4139
O131 0.8970 0.5861 0.4814
O132 0.9010 0.0807 0.7006
O133 0.9243 0.9043 0.4117
O134 0.9291 0.0969 0.0984
O135 0.9289 0.4346 0.1427
O136 0.9291 0.7627 0.7645
O137 0.9304 0.2413 0.7497
O138 0.9296 0.7653 0.4830
O139 0.9310 0.2280 0.0379
O140 0.9316 0.4273 0.4327
O141 0.9331 0.5630 0.0815
O142 0.9349 0.9019 0.6987
O143 0.9417 0.5682 0.3665
O144 0.9500 0.0960 0.8180
# **Total moment**: 0.000 μB per formula unit
# **Total DFT energy (no corrections)**: -7.750 eV/atom
# **Formation energy**: -198.0 eV/f.u.

# 2
# Na10Ta6Al2Si11SO48 PBE relaxed
data_Na10Ta6Al2Si11SO48
_chemical_formula_sum 'Na30 Ta18 Al6 Si33 S3 O144'
_symmetry_space_group_name_H-M 'P 1'
_symmetry_Int_Tables_number 1
_cell_length_a 8.9639
_cell_length_b 15.4141
_cell_length_c 22.4079
_cell_angle_alpha 90.27
_cell_angle_beta 90.11
_cell_angle_gamma 90.02
loop_
_symmetry_equiv_pos_as_xyz
'x,y,z'
loop_
_atom_site_label
_atom_site_fract_x
_atom_site_fract_y
_atom_site_fract_z
Na1 0.0000 0.0000 0.0000
Na2 0.0003 0.3288 0.6618
Na3 0.0046 0.9699 0.6625
Na4 0.0118 0.2996 0.3333
Na5 0.1302 0.1344 0.4982
Na6 0.1338 0.8024 0.8352
Na7 0.1417 0.4700 0.1630
Na8 0.1448 0.4959 0.4957
Na9 0.1475 0.8312 0.1630
Na10 0.1924 0.4798 0.8358
Na11 0.3113 0.6532 0.9234
Na12 0.3168 0.6579 0.4119
Na13 0.3240 0.3070 0.2531
Na14 0.3267 0.3098 0.7524
Na15 0.3297 0.9847 0.0811
Na16 0.3352 0.9799 0.5815
Na17 0.4521 0.4804 0.3332
Na18 0.4995 0.4988 0.0003
Na19 0.6334 0.2991 0.8346
Na20 0.6410 0.9705 0.1636
Na21 0.6435 0.6353 0.4967
Na22 0.6460 0.6688 0.8337
Na23 0.6471 0.3295 0.1626
Na24 0.6931 0.9818 0.8343
Na25 0.8146 0.4807 0.5815
Na26 0.8169 0.1460 0.4188
Na27 0.8185 0.8122 0.2512
Na28 0.8191 0.1537 0.9210
Na29 0.8198 0.8151 0.7487
Na30 0.8296 0.4844 0.0810
Ta1 0.3197 0.9794 0.4339
Ta2 0.3213 0.9865 0.2273
Ta3 0.3235 0.3203 0.1021
Ta4 0.3233 0.6503 0.7680
Ta5 0.3233 0.6539 0.2683
Ta6 0.3240 0.6527 0.5593
Ta7 0.3276 0.3208 0.6038
Ta8 0.3288 0.9792 0.9359
Ta9 0.3319 0.9860 0.7265
Ta10 0.8194 0.4835 0.7263
Ta11 0.8197 0.4839 0.2271
Ta12 0.8198 0.8180 0.6027
Ta13 0.8228 0.1479 0.2698
Ta14 0.8240 0.4794 0.4355
Ta15 0.8239 0.8210 0.1018
Ta16 0.8249 0.1502 0.7681
Ta17 0.8257 0.8202 0.3926
Ta18 0.8313 0.4772 0.9361
Al1 0.3035 0.6504 0.0632
Al2 0.3135 0.3196 0.3917
Al3 0.3316 0.3204 0.8934
Al4 0.8036 0.1506 0.0629
Al5 0.8339 0.1489 0.5637
Al6 0.8373 0.8248 0.8938
Si1 0.0333 0.3114 0.4962
Si2 0.0351 0.6493 0.1622
Si3 0.0351 0.9841 0.8317
Si4 0.1120 0.1494 0.6617
Si5 0.1149 0.4838 0.3316
Si6 0.1148 0.8102 0.9954
Si7 0.1761 0.8379 0.3294
Si8 0.1766 0.5066 0.6637
Si9 0.1773 0.7959 0.6648
Si10 0.1827 0.1324 0.3336
Si11 0.1846 0.4643 0.9951
Si12 0.4611 0.1331 0.8335
Si13 0.4663 0.7898 0.1602
Si14 0.4676 0.4570 0.4938
Si15 0.4685 0.5131 0.1602
Si16 0.4769 0.8377 0.8320
Si17 0.5331 0.4822 0.8336
Si18 0.5351 0.8205 0.4971
Si19 0.5367 0.1497 0.1624
Si20 0.6109 0.9839 0.3314
Si21 0.6132 0.3097 0.9952
Si22 0.6145 0.6506 0.6641
Si23 0.6677 0.3350 0.3318
Si24 0.6790 0.0112 0.6600
Si25 0.6800 0.6302 0.3322
Si26 0.6812 0.2889 0.6611
Si27 0.6831 0.9650 0.9951
Si28 0.9633 0.9669 0.4999
Si29 0.9644 0.6311 0.8330
Si30 0.9660 0.2881 0.1617
Si31 0.9699 0.0132 0.1592
Si32 0.9697 0.6742 0.4972
Si33 0.9790 0.3356 0.8309
S1 0.1799 0.1757 0.9955
S2 0.4714 0.1753 0.4964
S3 0.6789 0.6743 0.9957
O1 0.0009 0.1403 0.3246
O2 0.0032 0.1685 0.7203
O3 0.0035 0.8300 0.0543
O4 0.0051 0.4672 0.2733
O5 0.0077 0.4988 0.3904
O6 0.0092 0.8025 0.9366
O7 0.0125 0.1301 0.6040
O8 0.0184 0.1632 0.0017
O9 0.1386 0.6270 0.1066
O10 0.1410 0.6688 0.2215
O11 0.1406 0.9989 0.8909
O12 0.1417 0.2993 0.4387
O13 0.1424 0.9663 0.7735
O14 0.1437 0.3314 0.5554
O15 0.1473 0.6381 0.8252
O16 0.1476 0.3059 0.1560
O17 0.1483 0.9775 0.4922
O18 0.1479 0.9922 0.1690
O19 0.1496 0.6586 0.5033
O20 0.1548 0.3308 0.8411
O21 0.2100 0.4021 0.0554
O22 0.2103 0.7358 0.7241
O23 0.2097 0.8963 0.2703
O24 0.2099 0.9053 0.9919
O25 0.2106 0.0700 0.3919
O26 0.2109 0.5643 0.6048
O27 0.2124 0.2275 0.9434
O28 0.2142 0.0630 0.6723
O29 0.2155 0.3969 0.3371
O30 0.2160 0.2365 0.6561
O31 0.2231 0.5680 0.3251
O32 0.2233 0.7287 0.0052
O33 0.2468 0.2145 0.0508
O34 0.2493 0.0861 0.9926
O35 0.2512 0.4095 0.6585
O36 0.2509 0.8917 0.6707
O37 0.2516 0.5503 0.7234
O38 0.2533 0.2278 0.3400
O39 0.2528 0.8848 0.3880
O40 0.2539 0.7466 0.6077
O41 0.2548 0.0811 0.2754
O42 0.2559 0.7435 0.3256
O43 0.2573 0.4155 0.9379
O44 0.2659 0.5576 0.0041
O45 0.3811 0.7450 0.1057
O46 0.3862 0.4144 0.4370
O47 0.3865 0.8819 0.8887
O48 0.3882 0.5498 0.2214
O49 0.3911 0.0830 0.7746
O50 0.3927 0.4127 0.1562
O51 0.3931 0.5550 0.5032
O52 0.3933 0.7432 0.8255
O53 0.3939 0.0882 0.4929
O54 0.3935 0.2284 0.8405
O55 0.3948 0.8886 0.1700
O56 0.3975 0.2146 0.5508
O57 0.4283 0.3981 0.8376
O58 0.4286 0.9054 0.4925
O59 0.4296 0.5698 0.8253
O60 0.4310 0.0636 0.1714
O61 0.4315 0.2367 0.1558
O62 0.4336 0.7313 0.5040
O63 0.4364 0.0639 0.8885
O64 0.4359 0.3993 0.5540
O65 0.4358 0.5681 0.1016
O66 0.4381 0.7331 0.2217
O67 0.4389 0.2277 0.4435
O68 0.4436 0.9010 0.7752
O69 0.4911 0.3311 0.3409
O70 0.4985 0.6329 0.3248
O71 0.4983 0.9730 0.9910
O72 0.4994 0.9964 0.6707
O73 0.5000 0.3020 0.6555
O74 0.5005 0.9976 0.3888
O75 0.5037 0.3305 0.0546
O76 0.5071 0.6634 0.7234
O77 0.5076 0.3035 0.9369
O78 0.5078 0.9697 0.2713
O79 0.5091 0.6359 0.6050
O80 0.5180 0.6625 0.0016
O81 0.6302 0.1645 0.5040
O82 0.6393 0.1272 0.1065
O83 0.6407 0.5043 0.8910
O84 0.6405 0.8316 0.5561
O85 0.6419 0.1694 0.2216
O86 0.6425 0.7991 0.4406
O87 0.6450 0.1375 0.8249
O88 0.6449 0.4672 0.7761
O89 0.6473 0.4919 0.1694
O90 0.6483 0.4740 0.4913
O91 0.6482 0.8055 0.1555
O92 0.6536 0.8263 0.8411
O93 0.7021 0.3977 0.2729
O94 0.7075 0.2352 0.7241
O95 0.7067 0.5677 0.3908
O96 0.7100 0.4051 0.9909
O97 0.7105 0.7247 0.9418
O98 0.7102 0.9021 0.0552
O99 0.7149 0.0708 0.6046
O100 0.7153 0.8984 0.3381
O101 0.7161 0.0694 0.3246
O102 0.7163 0.5635 0.6712
O103 0.7172 0.7365 0.6593
O104 0.7236 0.2291 0.0053
O105 0.7467 0.7150 0.0497
O106 0.7491 0.5853 0.9931
O107 0.7529 0.5796 0.2744
O108 0.7553 0.7244 0.3370
O109 0.7562 0.0501 0.7226
O110 0.7558 0.9154 0.9379
O111 0.7570 0.3850 0.3873
O112 0.7577 0.3864 0.6721
O113 0.7594 0.2446 0.3257
O114 0.7591 0.9141 0.6576
O115 0.7658 0.0577 0.0039
O116 0.7675 0.2462 0.6063
O117 0.8809 0.2447 0.1066
O118 0.8867 0.0518 0.2190
O119 0.8869 0.2448 0.8255
O120 0.8875 0.3835 0.8873
O121 0.8878 0.5827 0.7747
O122 0.8882 0.7179 0.5551
O123 0.8892 0.7256 0.8401
O124 0.8911 0.0621 0.5052
O125 0.8926 0.5773 0.4920
O126 0.8930 0.9127 0.1559
O127 0.8936 0.3878 0.1710
O128 0.8936 0.9152 0.4418
O129 0.9246 0.0680 0.8250
O130 0.9286 0.2278 0.5056
O131 0.9294 0.8981 0.8371
O132 0.9312 0.5626 0.1723
O133 0.9315 0.7366 0.1557
O134 0.9357 0.4035 0.4916
O135 0.9369 0.0678 0.1004
O136 0.9369 0.7333 0.4393
O137 0.9394 0.2352 0.2244
O138 0.9385 0.5640 0.8886
O139 0.9389 0.9025 0.5579
O140 0.9451 0.3990 0.7729
O141 0.9973 0.8300 0.3363
O142 0.9979 0.4919 0.6701
O143 0.9979 0.8071 0.6593
O144 0.9991 0.4729 0.9910
# **Total moment**: 0.000 μB per formula unit
# **Total DFT energy (no corrections)**: -7.641 eV/atom
# **Formation energy**: -235.8 eV/f.u.

- The lowest total DFT energy (no corrections) belongs to which entry?
  Na2Ta6Al2Si7S5O48

- Among the records above, which one has the lowest formation energy?
  Na10Ta6Al2Si11SO48

- total moment of number 1 (Na2Ta6Al2Si7S5O48)?
  0.000 μB per formula unit

- formation energy of number 1 (Na2Ta6Al2Si7S5O48)?
  -198.0 eV/f.u.